<A>
Compound: BiWO5
Source: the Materials Project
Functional: PBE with a Hubbard U
Structure: optimized geometry

Cell: 11.4638 5.7598 9.3385 Å, 70.82 90.00 90.00°
Atoms (fractional coordinates):
O 0.0518 0.8311 0.9887
O 0.7229 0.6535 0.4699
O 0.9482 0.1689 0.0113
O 0.0348 0.2644 0.6638
O 0.9093 0.8365 0.6316
O 0.7771 0.6535 0.9699
O 0.2771 0.3465 0.5301
O 0.2050 0.8685 0.6620
O 0.2229 0.3465 0.0301
O 0.0907 0.1635 0.3684
O 0.4652 0.2644 0.1638
O 0.5907 0.8365 0.1316
O 0.7050 0.1315 0.8380
O 0.2950 0.8685 0.1620
O 0.4482 0.8311 0.4887
O 0.9652 0.7356 0.3362
O 0.5518 0.1689 0.5113
O 0.7950 0.1315 0.3380
O 0.4093 0.1635 0.8684
O 0.5348 0.7356 0.8362
W 0.6459 0.8346 0.9477
W 0.3541 0.1654 0.0523
W 0.1459 0.1654 0.5523
W 0.8541 0.8346 0.4477
Bi 0.0876 0.9966 0.1677
Bi 0.4124 0.9966 0.6677
Bi 0.5876 0.0034 0.3323
Bi 0.9124 0.0034 0.8323

- SG: No. 14

---

<B>
Compound: BiWO5
Source: the Materials Project
Functional: PBE with a Hubbard U
Structure: optimized geometry

Cell: 6.2397 12.0698 16.1430 Å, 90.00 90.00 90.00°
Atoms (fractional coordinates):
Bi 0.5727 0.3199 0.7918
Bi 0.0727 0.6801 0.7082
Bi 0.9273 0.8199 0.2082
Bi 0.5727 0.8199 0.7082
Bi 0.4273 0.6801 0.2082
Bi 0.9273 0.3199 0.2918
Bi 0.0727 0.1801 0.7918
Bi 0.4273 0.1801 0.2918
O 0.1135 0.7024 0.2986
O 0.1503 0.0100 0.8377
O 0.2536 0.5449 0.4286
O 0.7464 0.4551 0.5714
O 0.6135 0.7976 0.2986
O 0.8865 0.2976 0.7014
O 0.6135 0.2976 0.2014
O 0.1249 0.3259 0.5385
O 0.1249 0.8259 0.9615
O 0.2697 0.2963 0.8490
O 0.7536 0.9551 0.4286
O 0.3865 0.7024 0.7986
O 0.3751 0.8259 0.4615
O 0.7697 0.7037 0.6510
O 0.8751 0.6741 0.4615
O 0.8865 0.7976 0.7986
O 0.8497 0.4900 0.3377
O 0.8751 0.1741 0.0385
O 0.2697 0.7963 0.6510
O 0.7536 0.4551 0.0714
O 0.7303 0.2037 0.3490
O 0.7697 0.2037 0.8490
O 0.6503 0.4900 0.8377
O 0.7303 0.7037 0.1510
O 0.1135 0.2024 0.2014
O 0.3751 0.3259 0.0385
O 0.6249 0.6741 0.9615
O 0.2536 0.0449 0.0714
O 0.6503 0.9900 0.6623
O 0.2303 0.7963 0.1510
O 0.1503 0.5100 0.6623
O 0.8497 0.9900 0.1623
O 0.3497 0.5100 0.1623
O 0.6249 0.1741 0.5385
O 0.2464 0.0449 0.5714
O 0.7464 0.9551 0.9286
O 0.3497 0.0100 0.3377
O 0.2464 0.5449 0.9286
O 0.2303 0.2963 0.3490
O 0.3865 0.2024 0.7014
W 0.4794 0.1025 0.6146
W 0.0206 0.6025 0.3854
W 0.9794 0.8975 0.8854
W 0.9794 0.3975 0.6146
W 0.0206 0.1025 0.1146
W 0.4794 0.6025 0.8854
W 0.5206 0.3975 0.1146
W 0.5206 0.8975 0.3854

- SG: No. 61

---

Preferred: <A>; penalty for the next structure: 54 meV per atom.

---

<A>
Compound: BiW2O8
Source: the Materials Project
Functional: PBE with a Hubbard U
Structure: optimized geometry

Cell: 5.3738 5.9712 6.1006 Å, 111.90 111.53 88.95°
Atoms (fractional coordinates):
O 0.2254 0.9592 0.7233
O 0.2366 0.7648 0.2333
O 0.6405 0.6831 0.6755
O 0.7746 0.0408 0.2767
O 0.3595 0.3169 0.3245
O 0.1120 0.5081 0.6914
O 0.7634 0.2352 0.7667
O 0.8880 0.4919 0.3086
Bi 0.0000 0.0000 0.0000
W 0.7451 0.3258 0.5110
W 0.2549 0.6742 0.4890

- SG: No. 2

---

<B>
Compound: BiW2O8
Source: the Materials Project
Functional: PBE with a Hubbard U
Structure: optimized geometry

Cell: 5.9925 5.1902 11.3006 Å, 64.57 90.00 90.00°
Atoms (fractional coordinates):
O 0.6204 0.7453 0.6216
O 0.3796 0.7453 0.1216
O 0.6461 0.7299 0.3787
O 0.8967 0.8424 0.0939
O 0.6461 0.2701 0.1213
O 0.9081 0.6567 0.8946
O 0.1033 0.8424 0.5939
O 0.0919 0.6567 0.3946
O 0.1033 0.1576 0.9061
O 0.0919 0.3433 0.1054
O 0.6204 0.2547 0.8784
O 0.9081 0.3433 0.6054
O 0.3539 0.7299 0.8787
O 0.8967 0.1576 0.4061
O 0.3796 0.2547 0.3784
O 0.3539 0.2701 0.6213
W 0.1656 0.7275 0.0090
W 0.8344 0.2725 0.9910
W 0.1656 0.2725 0.4910
W 0.8344 0.7275 0.5090
Bi 0.6617 0.5000 0.2500
Bi 0.3383 0.5000 0.7500

- SG: No. 13

---

Preferred: <B>; penalty for the next structure: 16 meV per atom.

---

<A>
Compound: CoBrO
Source: the Materials Project
Functional: PBE with a Hubbard U
Structure: optimized geometry

Cell: 5.8813 6.3624 12.6765 Å, 90.00 90.00 90.00°
Atoms (fractional coordinates):
O 0.3887 0.3556 0.4516
O 0.6113 0.1444 0.9516
O 0.6113 0.6444 0.5484
O 0.3887 0.8556 0.0484
O 0.8887 0.1444 0.4516
O 0.1113 0.3556 0.9516
O 0.8887 0.6444 0.0484
O 0.1113 0.8556 0.5484
Co 0.2076 0.6340 0.9950
Co 0.7076 0.3660 0.5050
Co 0.2924 0.6340 0.4950
Co 0.2924 0.1340 0.0050
Co 0.7076 0.8660 0.9950
Co 0.7924 0.8660 0.4950
Co 0.2076 0.1340 0.5050
Co 0.7924 0.3660 0.0050
Br 0.0690 0.9078 0.8579
Br 0.4310 0.9078 0.3579
Br 0.5690 0.5922 0.8579
Br 0.9310 0.0922 0.1421
Br 0.0690 0.4078 0.6421
Br 0.9310 0.5922 0.3579
Br 0.5690 0.0922 0.6421
Br 0.4310 0.4078 0.1421

- SG: No. 61

---

<B>
Compound: CoBrO
Source: the Materials Project
Functional: PBE with a Hubbard U
Structure: optimized geometry

Cell: 5.8180 6.3997 12.6519 Å, 90.10 90.71 90.03°
Atoms (fractional coordinates):
Co 0.2882 0.1311 0.0041
Co 0.7891 0.3688 0.0039
Co 0.7237 0.3807 0.5045
Co 0.2150 0.1323 0.5010
Co 0.2908 0.6318 0.4937
Co 0.7895 0.8679 0.4989
Co 0.2108 0.6315 0.9960
Co 0.7117 0.8690 0.9956
Br 0.9309 0.5830 0.3596
Br 0.5655 0.5889 0.8577
Br 0.0584 0.4127 0.6391
Br 0.4340 0.4112 0.1422
Br 0.5601 0.0848 0.6424
Br 0.0647 0.9095 0.8583
Br 0.4297 0.9080 0.3566
Br 0.9349 0.0905 0.1419
O 0.8810 0.1396 0.4559
O 0.8894 0.6422 0.0488
O 0.1104 0.3580 0.9512
O 0.4008 0.3571 0.4532
O 0.3900 0.8585 0.0487
O 0.1140 0.8590 0.5459
O 0.6099 0.1416 0.9513
O 0.6077 0.6425 0.5494

- SG: No. 1

---

Preferred: <B>; penalty for the next structure: 20 meV per atom.

---

<A>
Compound: Sr2CoBr2O2
Source: the Materials Project
Functional: PBE with a Hubbard U
Structure: optimized geometry

Cell: 5.8019 17.8371 5.8019 Å, 99.36 90.01 80.64°
Atoms (fractional coordinates):
O 0.2500 0.0000 0.7500
O 0.5000 0.5000 0.0000
O 0.2500 0.0000 0.2500
O 0.7500 0.0000 0.7500
O 0.0000 0.5000 0.5000
O 0.0000 0.5000 0.0000
O 0.5000 0.5000 0.5000
O 0.7500 0.0000 0.2500
Br 0.4138 0.1726 0.5862
Br 0.9138 0.1726 0.0862
Br 0.6638 0.6726 0.8362
Br 0.0862 0.8274 0.9138
Br 0.5862 0.8274 0.4138
Br 0.1638 0.6726 0.3362
Br 0.8362 0.3274 0.6638
Br 0.3362 0.3274 0.1638
Sr 0.0474 0.9052 0.4526
Sr 0.4526 0.0947 0.0473
Sr 0.9526 0.0947 0.5474
Sr 0.7026 0.5948 0.2974
Sr 0.7974 0.4052 0.2026
Sr 0.2974 0.4052 0.7027
Sr 0.5474 0.9052 0.9527
Sr 0.2026 0.5948 0.7973
Co 0.2500 0.5000 0.2500
Co 0.7500 0.5000 0.7500
Co 0.0000 0.0000 0.0000
Co 0.5000 0.0000 0.5000

---

<B>
Compound: Sr2CoBr2O2
Source: the Materials Project
Functional: PBE with a Hubbard U
Structure: optimized geometry

Cell: 8.0961 9.1152 9.2976 Å, 96.34 64.17 77.17°
Atoms (fractional coordinates):
Br 0.1287 0.6573 0.9141
Br 0.1212 0.3437 0.5858
Br 0.6214 0.3427 0.5860
Br 0.3707 0.3437 0.0860
Br 0.8717 0.3427 0.0852
Br 0.6290 0.6563 0.9142
Br 0.3791 0.6563 0.4140
Br 0.8781 0.6573 0.4147
Co 0.0004 0.0000 0.9991
Co 0.7496 0.0000 0.5009
Co 0.5004 0.0000 0.9992
Co 0.2496 0.0000 0.5008
O 0.3750 0.0000 0.2500
O 0.7535 0.0000 0.9996
O 0.6218 0.0000 0.7566
O 0.2470 0.0000 0.9994
O 0.5030 0.0001 0.5005
O 0.8751 0.9999 0.2500
O 0.1281 0.0001 0.7434
O 0.9965 0.9999 0.5004
Sr 0.3044 0.1884 0.7970
Sr 0.1945 0.8118 0.2031
Sr 0.6965 0.8122 0.2031
Sr 0.5555 0.1882 0.2970
Sr 0.4456 0.8115 0.7030
Sr 0.0536 0.1878 0.2969
Sr 0.8042 0.1887 0.7971
Sr 0.9458 0.8113 0.7029

- SG: No. 2

---

Preferred: <A>; penalty for the next structure: 6 meV per atom.

---

<A>
Compound: Cs2MgMnV2Br2O6
Source: the Materials Project
Functional: PBE with a Hubbard U
Structure: optimized geometry

Cell: 6.0761 5.8759 9.3523 Å, 108.30 90.72 90.01°
Atoms (fractional coordinates):
Cs 0.0487 0.3861 0.7714
Cs 0.0213 0.6274 0.2547
O 0.8026 0.7763 0.5528
O 0.4211 0.0167 0.4856
O 0.8977 0.2126 0.4250
O 0.4335 0.8888 0.7782
O 0.4528 0.1118 0.2240
O 0.4211 0.4687 0.4857
Mn 0.5156 0.9981 0.9955
Br 0.5254 0.5059 0.0133
Br 0.9638 0.0118 0.0231
V 0.6097 0.1981 0.3963
V 0.5296 0.7948 0.5898
Mg 0.2037 0.1975 0.3952

- SG: No. 8

---

<B>
Compound: Cs2MgMnV2Br2O6
Source: the Materials Project
Functional: PBE with a Hubbard U
Structure: optimized geometry

Cell: 6.2267 5.5979 9.6846 Å, 106.80 90.00 90.00°
Atoms (fractional coordinates):
V 0.5901 0.8076 0.6152
V 0.5901 0.1924 0.3848
Mg 0.8501 0.5000 0.0000
Br 0.4322 0.5000 0.0000
Br 0.9514 0.0000 0.0000
Cs 0.1219 0.6702 0.3404
Cs 0.1219 0.3298 0.6596
O 0.4967 0.5000 0.5000
O 0.8601 0.8112 0.6224
O 0.4553 0.8925 0.7850
O 0.8601 0.1888 0.3776
O 0.4967 0.0000 0.5000
O 0.4553 0.1075 0.2150
Mn 0.4154 0.0000 0.0000

- SG: No. 35

---

Preferred: <A>; penalty for the next structure: 141 meV per atom.

---

<A>
Compound: MnZnBr4O6
Source: the Materials Project
Functional: PBE with a Hubbard U
Structure: optimized geometry

Cell: 9.8657 10.6901 14.6691 Å, 90.00 90.00 90.00°
Atoms (fractional coordinates):
Mn 0.0000 0.5000 0.5000
Mn 0.5000 0.5000 0.5000
Mn 0.5000 0.5000 0.0000
Mn 0.0000 0.5000 0.0000
Br 0.7354 0.0000 0.0314
Br 0.9434 0.0000 0.8088
Br 0.2411 0.3440 0.1038
Br 0.0566 0.0000 0.1912
Br 0.4434 0.0000 0.6912
Br 0.7589 0.6560 0.8962
Br 0.7589 0.3440 0.8962
Br 0.7646 0.0000 0.5314
Br 0.2646 0.0000 0.9686
Br 0.2411 0.6560 0.1038
Br 0.7411 0.3440 0.3962
Br 0.2354 0.0000 0.4686
Br 0.7411 0.6560 0.3962
Br 0.2589 0.6560 0.6038
Br 0.5566 0.0000 0.3088
Br 0.2589 0.3440 0.6038
O 0.0895 0.3537 0.5766
O 0.6282 0.5000 0.0759
O 0.9105 0.3537 0.4234
O 0.5895 0.3537 0.9234
O 0.6410 0.6492 0.4919
O 0.9105 0.6463 0.4234
O 0.0895 0.6463 0.5766
O 0.6410 0.3508 0.4919
O 0.9872 0.5000 0.1153
O 0.4105 0.6463 0.0766
O 0.8718 0.5000 0.5759
O 0.4105 0.3537 0.0766
O 0.3590 0.6492 0.5081
O 0.3590 0.3508 0.5081
O 0.1410 0.6492 0.0081
O 0.4872 0.5000 0.3847
O 0.5128 0.5000 0.6153
O 0.0128 0.5000 0.8847
O 0.5895 0.6463 0.9234
O 0.1410 0.3508 0.0081
O 0.3718 0.5000 0.9241
O 0.8590 0.6492 0.9919
O 0.8590 0.3508 0.9919
O 0.1282 0.5000 0.4241
Zn 0.8426 0.0000 0.6728
Zn 0.1574 0.0000 0.3272
Zn 0.3426 0.0000 0.8272
Zn 0.6574 0.0000 0.1728

- SG: No. 55

---

<B>
Compound: MnZnBr4O6
Source: the Materials Project
Functional: PBE with a Hubbard U
Structure: optimized geometry

Cell: 5.4507 14.1090 13.9639 Å, 90.00 90.00 90.00°
Atoms (fractional coordinates):
Mn 0.5000 0.0000 0.0000
Mn 0.5000 0.0000 0.5000
Mn 0.5000 0.5000 0.0000
Mn 0.5000 0.5000 0.5000
O 0.2497 0.9050 0.0410
O 0.5000 0.3739 0.9530
O 0.5000 0.9455 0.8916
O 0.5000 0.6261 0.0470
O 0.7503 0.9050 0.0410
O 0.5000 0.0545 0.1084
O 0.3084 0.9862 0.3883
O 0.5000 0.8739 0.5470
O 0.2497 0.0950 0.9590
O 0.5000 0.1261 0.4530
O 0.3084 0.0138 0.6117
O 0.6916 0.4862 0.1117
O 0.3084 0.4862 0.1117
O 0.3084 0.5138 0.8883
O 0.2497 0.5950 0.5410
O 0.6916 0.5138 0.8883
O 0.6916 0.9862 0.3883
O 0.5000 0.4455 0.6084
O 0.2497 0.4050 0.4590
O 0.7503 0.4050 0.4590
O 0.7503 0.5950 0.5410
O 0.5000 0.5545 0.3916
O 0.6916 0.0138 0.6117
O 0.7503 0.0950 0.9590
Br 0.0000 0.0711 0.8838
Br 0.0000 0.6440 0.0432
Br 0.7427 0.7419 0.8181
Br 0.2573 0.7419 0.8181
Br 0.0000 0.9289 0.1162
Br 0.7427 0.2581 0.1819
Br 0.2573 0.2419 0.6819
Br 0.0000 0.5711 0.6162
Br 0.2573 0.7581 0.3181
Br 0.2573 0.2581 0.1819
Br 0.0000 0.4289 0.3838
Br 0.7427 0.2419 0.6819
Br 0.0000 0.1440 0.4568
Br 0.0000 0.8560 0.5432
Br 0.7427 0.7581 0.3181
Br 0.0000 0.3560 0.9568
Zn 0.0000 0.7000 0.1948
Zn 0.0000 0.3000 0.8052
Zn 0.0000 0.8000 0.6948
Zn 0.0000 0.2000 0.3052

- SG: No. 55

---

Preferred: <A>; penalty for the next structure: 138 meV per atom.